An optimized crystal structure of Mn3Cr3Co2O16. Source: the Materials Project database, functional PBE with a Hubbard U.

Computed properties:
Total magnetic moment: 15.925 μB/f.u.
Crystal system: monoclinic

Cell: 10.0736 5.8157 8.6984 Å, 90.00 90.66 90.00°
Space group Cm (No. 8)
Asymmetric unit:
Mn: 0.0000 0.0000 0.0000 (multiplicity 2)
Mn: 0.4154 0.2478 0.4988 (multiplicity 4)
Cr: 0.1673 0.5000 0.5102 (multiplicity 2)
Cr: 0.2481 0.2516 0.0109 (multiplicity 4)
Co: 0.1603 0.0000 0.7282 (multiplicity 2)
Co: 0.4956 0.0000 0.2289 (multiplicity 2)
O: 0.9996 0.0000 0.6092 (multiplicity 2)
O: 0.0678 0.2877 0.3673 (multiplicity 4)
O: 0.0913 0.2144 0.8690 (multiplicity 4)
O: 0.1552 0.5000 0.1048 (multiplicity 2)
O: 0.1594 0.0000 0.1184 (multiplicity 2)
O: 0.2429 0.2458 0.6052 (multiplicity 4)
O: 0.2996 0.0000 0.8715 (multiplicity 2)
O: 0.3320 0.5000 0.8973 (multiplicity 2)
O: 0.3333 0.5000 0.3926 (multiplicity 2)
O: 0.3520 0.0000 0.3655 (multiplicity 2)
O: 0.4134 0.2407 0.1079 (multiplicity 4)
O: 0.4935 0.0000 0.6116 (multiplicity 2)

---

An optimized crystal structure of UMnO4. Source: the Materials Project database, functional PBE with a Hubbard U.

Computed properties:
Crystal system: orthorhombic

Cell: 6.7594 7.0106 6.8816 Å, 90.00 90.00 90.00°
Space group Imma (No. 74)
Asymmetric unit:
U: 0.0000 0.2500 0.0070 (multiplicity 4)
Mn: 0.0000 0.0000 0.5000 (multiplicity 4)
O: 0.0000 0.0056 0.8132 (multiplicity 8)
O: 0.2072 0.2500 0.4921 (multiplicity 8)

---

An optimized crystal structure of Li3Fe8B8O24. Source: the Materials Project database, functional PBE with a Hubbard U.

Computed properties:
Total magnetic moment: 37.000 μB/f.u.
Crystal system: triclinic
Energy above the lowest structure with this stoichiometry: 9 meV per atom

Cell: 5.2360 9.1256 11.4137 Å, 66.74 77.00 89.56°
Space group P1 (No. 1)
Asymmetric unit:
Li: 0.0000 0.0000 0.0000 (multiplicity 1)
Li: 0.0451 0.0245 0.2659 (multiplicity 1)
Li: 0.2762 0.2903 0.7516 (multiplicity 1)
Fe: 0.0116 0.6748 0.9768 (multiplicity 1)
Fe: 0.0491 0.3846 0.2330 (multiplicity 1)
Fe: 0.2648 0.5943 0.4776 (multiplicity 1)
Fe: 0.2840 0.9629 0.7321 (multiplicity 1)
Fe: 0.5120 0.1844 0.9909 (multiplicity 1)
Fe: 0.5589 0.8681 0.2339 (multiplicity 1)
Fe: 0.7562 0.0965 0.4906 (multiplicity 1)
Fe: 0.7954 0.4708 0.7354 (multiplicity 1)
B: 0.0648 0.7205 0.2247 (multiplicity 1)
B: 0.2660 0.9274 0.4784 (multiplicity 1)
B: 0.2993 0.6281 0.7348 (multiplicity 1)
B: 0.5146 0.8467 0.9798 (multiplicity 1)
B: 0.5400 0.2106 0.2388 (multiplicity 1)
B: 0.7606 0.4241 0.4858 (multiplicity 1)
B: 0.7944 0.1457 0.7334 (multiplicity 1)
B: 0.9978 0.3428 0.9820 (multiplicity 1)
O: 0.0188 0.9624 0.4573 (multiplicity 1)
O: 0.0442 0.1300 0.7506 (multiplicity 1)
O: 0.0767 0.4444 0.0364 (multiplicity 1)
O: 0.1309 0.2167 0.9756 (multiplicity 1)
O: 0.1490 0.7255 0.7845 (multiplicity 1)
O: 0.1772 0.5265 0.6919 (multiplicity 1)
O: 0.2655 0.8593 0.9487 (multiplicity 1)
O: 0.2716 0.6839 0.2859 (multiplicity 1)
O: 0.3910 0.8076 0.4474 (multiplicity 1)
O: 0.3942 0.3337 0.2425 (multiplicity 1)
O: 0.3954 0.0146 0.5268 (multiplicity 1)
O: 0.4479 0.0976 0.2010 (multiplicity 1)
O: 0.4994 0.4353 0.4947 (multiplicity 1)
O: 0.5605 0.6247 0.7283 (multiplicity 1)
O: 0.6003 0.9585 0.0219 (multiplicity 1)
O: 0.6365 0.2554 0.7689 (multiplicity 1)
O: 0.6677 0.7292 0.9704 (multiplicity 1)
O: 0.6827 0.0573 0.6787 (multiplicity 1)
O: 0.7757 0.3786 0.9301 (multiplicity 1)
O: 0.7879 0.1940 0.2734 (multiplicity 1)
O: 0.8957 0.3241 0.4304 (multiplicity 1)
O: 0.8986 0.5072 0.5356 (multiplicity 1)
O: 0.9489 0.8616 0.2066 (multiplicity 1)
O: 0.9795 0.6117 0.1794 (multiplicity 1)

---

An optimized crystal structure of Na4NiP6O24. Source: the Materials Project database, functional PBE with a Hubbard U.

Computed properties:
Total magnetic moment: 12.000 μB/f.u.
Crystal system: triclinic

Cell: 6.8972 7.9747 9.0978 Å, 78.33 72.76 84.52°
Space group P-1 (No. 2)
Asymmetric unit:
Na: 0.1352 0.2908 0.0827 (multiplicity 2)
Na: 0.2844 0.5113 0.6783 (multiplicity 2)
Ni: 0.5000 0.0000 0.5000 (multiplicity 1)
P: 0.0150 0.8646 0.2191 (multiplicity 2)
P: 0.2254 0.5495 0.3032 (multiplicity 2)
P: 0.3355 0.7201 0.9787 (multiplicity 2)
O: 0.0047 0.9580 0.7436 (multiplicity 2)
O: 0.0696 0.4428 0.2868 (multiplicity 2)
O: 0.1212 0.7366 0.3369 (multiplicity 2)
O: 0.1708 0.2159 0.7921 (multiplicity 2)
O: 0.1875 0.8740 0.0520 (multiplicity 2)
O: 0.2138 0.6149 0.9208 (multiplicity 2)
O: 0.2958 0.1501 0.4801 (multiplicity 2)
O: 0.2990 0.8545 0.5748 (multiplicity 2)
O: 0.3490 0.4879 0.4155 (multiplicity 2)
O: 0.3915 0.6095 0.1327 (multiplicity 2)
O: 0.4689 0.2026 0.1264 (multiplicity 2)
O: 0.4789 0.0660 0.7152 (multiplicity 2)

---

An optimized crystal structure of KLaFeBiO6. Source: the Materials Project database, functional PBE with a Hubbard U.

Computed properties:
Total magnetic moment: 5.000 μB/f.u.
Crystal system: cubic

Cell: 8.1927 8.1927 8.1927 Å, 90.00 90.00 90.00°
Space group F-43m (No. 216)
Asymmetric unit:
K: 0.0000 0.0000 0.0000 (multiplicity 4)
La: 0.0000 0.0000 0.5000 (multiplicity 4)
Fe: 0.2500 0.2500 0.7500 (multiplicity 4)
Bi: 0.2500 0.2500 0.2500 (multiplicity 4)
O: 0.0061 0.2500 0.7500 (multiplicity 24)

---

An optimized crystal structure of MgMn6O8F4. Source: the Materials Project database, functional PBE with a Hubbard U.

Computed properties:
Total magnetic moment: 24.001 μB/f.u.
Crystal system: monoclinic
Energy above the lowest structure with this stoichiometry: 132 meV per atom

Cell: 4.9838 9.0233 5.0288 Å, 90.00 90.04 90.00°
Space group P2 (No. 3)
Asymmetric unit:
Mg: 0.0000 0.0000 0.0000 (multiplicity 1)
Mn: 0.0000 0.0001 0.5000 (multiplicity 1)
Mn: 0.0000 0.3195 0.5000 (multiplicity 1)
Mn: 0.0000 0.6808 0.5000 (multiplicity 1)
Mn: 0.5000 0.1921 0.0000 (multiplicity 1)
Mn: 0.5000 0.4999 0.0000 (multiplicity 1)
Mn: 0.5000 0.8075 0.0000 (multiplicity 1)
O: 0.1489 0.1534 0.2752 (multiplicity 2)
O: 0.1487 0.8465 0.2760 (multiplicity 2)
O: 0.3330 0.3382 0.8020 (multiplicity 2)
O: 0.3326 0.6613 0.8027 (multiplicity 2)
F: 0.1619 0.5007 0.3090 (multiplicity 2)
F: 0.3431 0.9997 0.8060 (multiplicity 2)

---

An optimized crystal structure of NaMn3CuH24S4O24. Source: the Materials Project database, functional PBE with a Hubbard U.

Computed properties:
Total magnetic moment: 15.003 μB/f.u.
Crystal system: trigonal

Cell: 12.3203 12.3203 25.3621 Å, 90.00 90.00 120.00°
Space group R3c (No. 161, hexagonal axes)
Asymmetric unit:
Na: 0.0000 0.0000 0.0000 (multiplicity 6)
Mn: 0.1276 0.3516 0.3406 (multiplicity 18)
Cu: 0.0000 0.0000 0.2685 (multiplicity 6)
H: 0.0039 0.2360 0.5758 (multiplicity 18)
H: 0.0047 0.2175 0.4533 (multiplicity 18)
H: 0.0139 0.4917 0.3808 (multiplicity 18)
H: 0.0373 0.1516 0.0936 (multiplicity 18)
H: 0.0457 0.3698 0.9172 (multiplicity 18)
H: 0.0611 0.2384 0.0443 (multiplicity 18)
H: 0.1488 0.3709 0.6570 (multiplicity 18)
H: 0.1975 0.0775 0.4117 (multiplicity 18)
S: 0.0000 0.0000 0.1787 (multiplicity 6)
S: 0.1979 0.0698 0.8008 (multiplicity 18)
O: 0.0032 0.4275 0.3542 (multiplicity 18)
O: 0.0253 0.2521 0.8247 (multiplicity 18)
O: 0.0807 0.3491 0.2548 (multiplicity 18)
O: 0.0862 0.1814 0.0603 (multiplicity 18)
O: 0.1292 0.0402 0.1552 (multiplicity 18)
O: 0.1665 0.4425 0.0106 (multiplicity 18)
O: 0.1727 0.3651 0.4256 (multiplicity 18)
O: 0.1946 0.0642 0.4505 (multiplicity 18)

---

An optimized crystal structure of Li2MnCr3O8. Source: the Materials Project database, functional PBE with a Hubbard U.

Computed properties:
Total magnetic moment: 11.000 μB/f.u.
Crystal system: triclinic
Energy above the lowest structure with this stoichiometry: 87 meV per atom

Cell: 5.8888 5.8919 5.9618 Å, 90.12 119.13 119.96°
Space group P-1 (No. 2)
Asymmetric unit:
Li: 0.0000 0.0000 0.0000 (multiplicity 1)
Li: 0.0000 0.5000 0.0000 (multiplicity 1)
Mn: 0.0000 0.0000 0.5000 (multiplicity 1)
Cr: 0.0000 0.5000 0.5000 (multiplicity 1)
Cr: 0.5000 0.0000 0.5000 (multiplicity 1)
Cr: 0.5000 0.5000 0.5000 (multiplicity 1)
O: 0.0283 0.7711 0.2891 (multiplicity 2)
O: 0.0297 0.2575 0.2868 (multiplicity 2)
O: 0.4651 0.2394 0.7029 (multiplicity 2)
O: 0.4727 0.7271 0.6986 (multiplicity 2)

---

V / Å³/f.u.: 254.8; 81.5; 486.2; 467.7; 137.5; 226.1; 555.7; 148.1
Raw total energy / eV/atom: -6.81; -8.61; -7.16; -5.90; -6.22; -6.73; -5.47; -7.04